Record 1
A plane-wave DFT calculation with r²SCAN was carried out for a geometry-optimized Ti5CuS10 structure.

Cell: 5.917 6.766 8.305 Å, 107.18 110.81 90.05°
Atoms (fractional coordinates):
1 S 0.985 0.546 0.803
2 S 0.415 0.254 0.999
3 S 0.812 0.054 0.797
4 S 0.188 0.946 0.203
5 Ti 0.500 0.000 0.500
6 Ti 0.306 0.601 0.101
7 S 0.585 0.746 0.001
8 S 0.215 0.852 0.597
9 Ti 0.694 0.399 0.899
10 Ti 0.098 0.196 0.706
11 S 0.382 0.345 0.602
12 Ti 0.902 0.804 0.294
13 Cu 0.000 0.500 0.500
14 S 0.015 0.454 0.197
15 S 0.618 0.655 0.398
16 S 0.785 0.148 0.403

Summary:
Formation energy   -1.3982 eV/atom
Density   3.511 g cm⁻³
V   294.9 Å³/cell


Record 2
A plane-wave DFT calculation with r²SCAN was carried out for a geometry-optimized TlCu3S2 structure.

Cell: 3.811 7.461 8.395 Å, 110.43 90.00 104.80°
Atoms (fractional coordinates):
1 S 0.814 0.627 0.331
2 S 0.476 0.952 0.768
3 Cu 0.059 0.117 0.403
4 Cu 0.941 0.883 0.597
5 Cu 0.313 0.626 0.579
6 Tl 0.140 0.281 0.051
7 Cu 0.589 0.178 0.637
8 Tl 0.860 0.719 0.949
9 Cu 0.411 0.822 0.363
10 S 0.524 0.048 0.232
11 S 0.186 0.373 0.669
12 Cu 0.687 0.374 0.421

Summary:
Formation energy   -0.2828 eV/atom
Density   7.085 g cm⁻³
V   215.2 Å³/cell


Record 3
A plane-wave DFT calculation with r²SCAN was carried out for a geometry-optimized TlCu2S2 structure.

Cell: 3.760 3.760 7.280 Å, 104.96 104.96 90.00°
Atoms (fractional coordinates):
1 Cu 0.750 0.250 0.500
2 Cu 0.250 0.750 0.500
3 S 0.648 0.648 0.296
4 Tl 0.000 0.000 0.000
5 S 0.352 0.352 0.704

Summary:
Formation energy   -0.3432 eV/atom
Density   6.856 g cm⁻³
V   95.8 Å³/cell


Record 4
A plane-wave DFT calculation with r²SCAN was carried out for a geometry-optimized TlCuS2 structure.

Cell: 5.623 5.623 6.890 Å, 114.08 114.08 90.00°
Atoms (fractional coordinates):
1 S 0.328 0.375 0.250
2 Tl 0.750 0.250 0.500
3 S 0.922 0.875 0.250
4 Cu 0.250 0.750 0.500
5 Cu 0.000 0.000 0.000
6 Tl 0.500 0.500 0.000
7 S 0.125 0.672 0.750
8 S 0.625 0.078 0.750

Summary:
Formation energy   -0.3051 eV/atom
Density   6.198 g cm⁻³
V   177.9 Å³/cell